1.
Compound: CaY2BeO5
Source: Materials Project
Functional: GGA-PBE
Structure: optimized geometry

* energy with MP2020 corrections: -8.40 eV/atom
* VASP energy: -8.019 eV/atom
* crystal system: orthorhombic
* V: 11.5 Å³ per atom

```
data_CaY2BeO5
_chemical_formula_sum 'Ca4 Y8 Be4 O20'
_space_group_name_H-M_alt 'P n a 21'
_space_group_IT_number 33
_cell_length_a 9.284
_cell_length_b 6.370
_cell_length_c 6.980
_cell_angle_alpha 90.00
_cell_angle_beta 90.00
_cell_angle_gamma 90.00
loop_
_space_group_symop_operation_xyz
'x,y,z'
'-x,-y,z+1/2'
'-x+1/2,y+1/2,z+1/2'
'x+1/2,-y+1/2,z'
loop_
_atom_site_label
_atom_site_type_symbol
_atom_site_fract_x
_atom_site_fract_y
_atom_site_fract_z
Ca1 Ca 0.176 0.082 0.000
Y1 Y 0.021 0.596 0.764
Y2 Y 0.174 0.072 0.545
Be1 Be 0.103 0.806 0.266
O1 O 0.009 0.022 0.268
O2 O 0.072 0.692 0.464
O3 O 0.073 0.681 0.071
O4 O 0.220 0.362 0.767
O5 O 0.222 0.336 0.266
```

=====

2.
Compound: Ca4Si3H2O11
Source: Materials Project
Functional: GGA-PBE
Structure: optimized geometry

* energy with MP2020 corrections: -7.40 eV/atom
* VASP energy: -7.023 eV/atom
* crystal system: orthorhombic
* V: 12.5 Å³ per atom

```
data_Ca4Si3H2O11
_chemical_formula_sum 'Ca32 Si24 H16 O88'
_space_group_name_H-M_alt 'A m a 2'
_space_group_IT_number 40
_cell_length_a 20.781
_cell_length_b 10.467
_cell_length_c 9.197
_cell_angle_alpha 90.00
_cell_angle_beta 90.00
_cell_angle_gamma 90.00
loop_
_space_group_symop_operation_xyz
'x,y,z'
'-x,-y,z'
'-x+1/2,y,z'
'x+1/2,-y,z'
'x,y+1/2,z+1/2'
'-x,-y+1/2,z+1/2'
'-x+1/2,y+1/2,z+1/2'
'x+1/2,-y+1/2,z+1/2'
loop_
_atom_site_label
_atom_site_type_symbol
_atom_site_fract_x
_atom_site_fract_y
_atom_site_fract_z
Ca1 Ca 0.000 0.000 0.000
Ca2 Ca 0.000 0.000 0.593
Ca3 Ca 0.137 0.094 0.818
Ca4 Ca 0.146 0.095 0.439
Ca5 Ca 0.250 0.115 0.113
Ca6 Ca 0.250 0.335 0.828
Si1 Si 0.004 0.214 0.285
Si2 Si 0.126 0.300 0.127
Si3 Si 0.127 0.381 0.636
H1 H 0.152 0.336 0.360
H2 H 0.250 0.017 0.589
H3 H 0.250 0.459 0.340
O1 O 0.025 0.142 0.808
O2 O 0.036 0.146 0.423
O3 O 0.053 0.382 0.713
O4 O 0.058 0.218 0.147
O5 O 0.110 0.452 0.118
O6 O 0.112 0.430 0.470
O7 O 0.161 0.241 0.643
O8 O 0.169 0.276 0.281
O9 O 0.170 0.242 0.997
O10 O 0.174 0.481 0.725
O11 O 0.250 0.017 0.483
O12 O 0.250 0.051 0.861
```